No. 1
## Li9Mn7O16 (PBE+U)

Data for a relaxed Li9Mn7O16 crystal.

Lattice parameters (Å, degrees): 5.086 5.334 11.153 87.07 80.55 83.54
Element x y z (fractional)
O: 0.420 0.395 0.845
O: 0.828 0.606 0.904
O: 0.549 0.892 0.719
O: 0.799 0.897 0.471
O: 0.580 0.605 0.155
O: 0.295 0.897 0.971
O: 0.955 0.109 0.777
O: 0.946 0.339 0.344
O: 0.683 0.341 0.603
O: 0.045 0.891 0.223
O: 0.705 0.103 0.029
O: 0.317 0.659 0.397
O: 0.201 0.103 0.529
O: 0.172 0.394 0.096
O: 0.451 0.108 0.281
O: 0.054 0.661 0.656
Li: 0.936 0.747 0.062
Li: 0.000 0.500 0.500
Li: 0.681 0.759 0.314
Li: 0.818 0.250 0.188
Li: 0.579 0.247 0.441
Li: 0.319 0.241 0.686
Li: 0.064 0.253 0.938
Li: 0.182 0.750 0.812
Li: 0.421 0.753 0.559
Mn: 0.751 0.501 0.746
Mn: 0.625 0.000 0.874
Mn: 0.875 0.000 0.624
Mn: 0.375 0.000 0.126
Mn: 0.125 0.000 0.376
Mn: 0.500 0.500 0.000
Mn: 0.249 0.499 0.254

The volume is 9.26 Å³ per atom. The energy relative to the elements comes out at -2.1435 eV/atom. Its space group is P-1. The calculation puts the total energy at -6.45 eV per atom. The value obtained for the magnetic moment is 26.00 μB per formula unit. The calculation puts the energy relative to the lowest polymorph listed for this composition at 3 kJ/mol of formula units.



No. 2
## Li8Mn5Fe3B8O24 (PBE+U)

Data for a relaxed Li8Mn5Fe3B8O24 crystal.

Lattice parameters (Å, degrees): 6.062 9.724 9.807 65.02 79.50 78.20
Element x y z (fractional)
Mn: 0.686 0.206 0.874
Mn: 0.312 0.792 0.126
Mn: 0.312 0.294 0.624
Mn: 0.813 0.293 0.127
Mn: 0.811 0.792 0.625
O: 0.175 0.517 0.606
O: 0.164 0.364 0.157
O: 0.179 0.016 0.105
O: 0.484 0.753 0.934
O: 0.984 0.754 0.434
O: 0.016 0.743 0.062
O: 0.676 0.016 0.605
O: 0.823 0.487 0.395
O: 0.676 0.517 0.105
O: 0.840 0.134 0.348
O: 0.013 0.246 0.561
O: 0.823 0.982 0.896
O: 0.839 0.635 0.847
O: 0.321 0.987 0.398
O: 0.485 0.253 0.434
O: 0.662 0.364 0.653
O: 0.321 0.486 0.898
O: 0.168 0.863 0.657
O: 0.339 0.635 0.347
O: 0.514 0.246 0.065
O: 0.987 0.254 0.936
O: 0.668 0.863 0.156
O: 0.514 0.745 0.561
O: 0.339 0.136 0.847
B: 0.166 0.633 0.462
B: 0.836 0.865 0.038
B: 0.168 0.133 0.963
B: 0.334 0.368 0.039
B: 0.666 0.633 0.962
B: 0.666 0.132 0.462
B: 0.833 0.368 0.536
B: 0.335 0.867 0.538
Fe: 0.185 0.709 0.871
Fe: 0.685 0.710 0.371
Fe: 0.185 0.210 0.371
Li: 0.544 0.965 0.815
Li: 0.454 0.033 0.187
Li: 0.046 0.967 0.316
Li: 0.954 0.033 0.685
Li: 0.953 0.534 0.186
Li: 0.546 0.467 0.316
Li: 0.046 0.467 0.816
Li: 0.454 0.533 0.686

The volume is 10.62 Å³ per atom. The energy relative to the elements comes out at -2.4393 eV/atom. Its space group is P1. The calculation puts the total energy at -7.17 eV per atom. The value obtained for the magnetic moment is 37.00 μB per formula unit. The calculation puts the energy relative to the lowest polymorph listed for this composition at 10 kJ/mol of formula units.